Material: Na14Ca4Sc4Si5S7O48
Method: DFT, PBE-GGA
State: relaxed

a = 9.337 Å, b = 16.235 Å, c = 22.635 Å
α = 90.07°, β = 90.06°, γ = 90.11°
Fractional positions:
1 Na 0.000 0.000 0.000
2 Na 0.005 0.314 0.649
3 Na 0.014 0.647 0.658
4 Na 0.020 0.671 0.994
5 Na 0.041 0.982 0.329
6 Na 0.048 0.334 0.333
7 Na 0.164 0.831 0.825
8 Na 0.165 0.484 0.823
9 Na 0.188 0.176 0.494
10 Na 0.193 0.153 0.172
11 Na 0.203 0.811 0.159
12 Na 0.221 0.500 0.500
13 Na 0.247 0.159 0.821
14 Na 0.335 0.307 0.915
15 Na 0.343 0.643 0.083
16 Na 0.358 0.007 0.735
17 Na 0.361 0.321 0.418
18 Na 0.362 0.654 0.574
19 Na 0.371 0.009 0.242
20 Na 0.463 0.162 0.329
21 Na 0.497 0.499 0.012
22 Na 0.514 0.827 0.655
23 Na 0.516 0.175 0.991
24 Na 0.522 0.140 0.659
25 Na 0.535 0.831 0.333
26 Na 0.539 0.800 0.998
27 Na 0.546 0.477 0.326
28 Na 0.652 0.313 0.492
29 Na 0.662 0.981 0.809
30 Na 0.668 0.337 0.825
31 Na 0.683 0.639 0.168
32 Na 0.686 0.661 0.492
33 Na 0.691 0.330 0.161
34 Na 0.708 0.998 0.511
35 Na 0.741 0.659 0.822
36 Na 0.839 0.511 0.737
37 Na 0.847 0.508 0.240
38 Na 0.853 0.165 0.079
39 Na 0.855 0.801 0.909
40 Na 0.858 0.145 0.580
41 Na 0.869 0.801 0.417
42 Na 0.962 0.658 0.329
43 Ca 0.348 0.999 0.396
44 Ca 0.350 0.655 0.929
45 Ca 0.354 0.325 0.565
46 Ca 0.355 0.324 0.255
47 Ca 0.357 0.003 0.894
48 Ca 0.360 0.318 0.756
49 Ca 0.841 0.502 0.397
50 Ca 0.847 0.818 0.258
51 Ca 0.851 0.823 0.753
52 Ca 0.854 0.157 0.430
53 Ca 0.857 0.820 0.067
54 Ca 0.858 0.500 0.895
55 Sc 0.351 0.004 0.092
56 Sc 0.352 0.658 0.726
57 Sc 0.353 0.000 0.594
58 Sc 0.357 0.322 0.066
59 Sc 0.357 0.658 0.432
60 Sc 0.361 0.646 0.222
61 Sc 0.839 0.505 0.587
62 Sc 0.845 0.147 0.720
63 Sc 0.846 0.821 0.566
64 Sc 0.853 0.158 0.226
65 Sc 0.853 0.501 0.095
66 Sc 0.855 0.163 0.929
67 Si 0.007 0.650 0.494
68 Si 0.015 0.668 0.160
69 Si 0.054 0.660 0.828
70 Si 0.152 0.160 0.327
71 Si 0.193 0.169 0.662
72 Si 0.196 0.149 0.994
73 Si 0.508 0.144 0.492
74 Si 0.511 0.475 0.159
75 Si 0.513 0.172 0.160
76 Si 0.545 0.491 0.487
77 Si 0.564 0.160 0.828
78 Si 0.645 0.661 0.326
79 Si 0.693 0.671 0.663
80 Si 0.693 0.976 0.659
81 Si 0.700 0.645 0.992
82 S 0.012 0.982 0.160
83 S 0.048 0.324 0.161
84 S 0.049 0.985 0.494
85 S 0.156 0.485 0.994
86 S 0.159 0.824 0.662
87 S 0.192 0.481 0.663
88 S 0.205 0.848 0.994
89 S 0.208 0.512 0.330
90 S 0.209 0.804 0.325
91 S 0.499 0.509 0.826
92 S 0.499 0.808 0.827
93 S 0.508 0.841 0.493
94 S 0.534 0.829 0.159
95 S 0.655 0.994 0.993
96 S 0.673 0.328 0.662
97 S 0.699 0.340 0.992
98 S 0.707 0.009 0.325
99 S 0.710 0.307 0.325
100 S 0.995 0.013 0.831
101 S 0.998 0.304 0.826
102 S 0.998 0.346 0.495
103 O 0.000 0.728 0.102
104 O 0.018 0.150 0.991
105 O 0.018 0.162 0.670
106 O 0.033 0.486 0.660
107 O 0.037 0.158 0.269
108 O 0.046 0.845 0.996
109 O 0.047 0.486 0.041
110 O 0.047 0.812 0.616
111 O 0.050 0.501 0.329
112 O 0.051 0.820 0.325
113 O 0.062 0.163 0.388
114 O 0.087 0.478 0.935
115 O 0.093 0.839 0.720
116 O 0.115 0.338 0.218
117 O 0.118 0.978 0.435
118 O 0.137 0.665 0.891
119 O 0.153 0.001 0.830
120 O 0.156 0.319 0.826
121 O 0.156 0.337 0.497
122 O 0.158 0.312 0.114
123 O 0.160 0.986 0.541
124 O 0.174 0.659 0.773
125 O 0.174 0.987 0.157
126 O 0.183 0.654 0.490
127 O 0.189 0.663 0.170
128 O 0.211 0.232 0.606
129 O 0.230 0.434 0.717
130 O 0.233 0.082 0.048
131 O 0.240 0.564 0.999
132 O 0.242 0.752 0.377
133 O 0.245 0.745 0.663
134 O 0.246 0.073 0.320
135 O 0.246 0.891 0.939
136 O 0.247 0.564 0.278
137 O 0.250 0.244 0.326
138 O 0.250 0.568 0.667
139 O 0.251 0.443 0.610
140 O 0.255 0.555 0.385
141 O 0.255 0.763 0.270
142 O 0.258 0.415 0.000
143 O 0.260 0.891 0.648
144 O 0.263 0.893 0.047
145 O 0.266 0.077 0.651
146 O 0.267 0.763 0.996
147 O 0.271 0.115 0.933
148 O 0.273 0.239 0.006
149 O 0.276 0.204 0.721
150 O 0.279 0.431 0.328
151 O 0.285 0.885 0.329
152 O 0.422 0.889 0.826
153 O 0.424 0.428 0.819
154 O 0.430 0.899 0.153
155 O 0.431 0.203 0.219
156 O 0.433 0.417 0.500
157 O 0.435 0.235 0.497
158 O 0.440 0.080 0.148
159 O 0.442 0.427 0.101
160 O 0.448 0.752 0.164
161 O 0.449 0.756 0.492
162 O 0.449 0.760 0.774
163 O 0.450 0.885 0.545
164 O 0.451 0.082 0.546
165 O 0.451 0.571 0.161
166 O 0.453 0.544 0.883
167 O 0.453 0.580 0.489
168 O 0.457 0.105 0.429
169 O 0.462 0.566 0.776
170 O 0.465 0.076 0.823
171 O 0.465 0.244 0.832
172 O 0.467 0.762 0.882
173 O 0.475 0.236 0.105
174 O 0.476 0.886 0.438
175 O 0.492 0.424 0.220
176 O 0.516 0.668 0.665
177 O 0.516 0.981 0.652
178 O 0.525 0.651 0.000
179 O 0.536 0.666 0.384
180 O 0.538 0.333 0.996
181 O 0.544 0.662 0.266
182 O 0.548 0.001 0.042
183 O 0.549 0.994 0.323
184 O 0.553 0.321 0.323
185 O 0.577 0.318 0.611
186 O 0.580 0.979 0.937
187 O 0.590 0.341 0.717
188 O 0.621 0.843 0.213
189 O 0.623 0.470 0.425
190 O 0.625 0.821 0.106
191 O 0.656 0.822 0.825
192 O 0.657 0.494 0.824
193 O 0.668 0.162 0.888
194 O 0.669 0.836 0.497
195 O 0.670 0.159 0.771
196 O 0.672 0.504 0.537
197 O 0.683 0.149 0.501
198 O 0.689 0.169 0.164
199 O 0.689 0.482 0.150
200 O 0.718 0.927 0.721
201 O 0.731 0.737 0.609
202 O 0.733 0.384 0.938
203 O 0.739 0.073 0.993
204 O 0.742 0.067 0.275
205 O 0.742 0.261 0.379
206 O 0.744 0.578 0.322
207 O 0.745 0.745 0.331
208 O 0.752 0.072 0.660
209 O 0.753 0.046 0.382
210 O 0.754 0.608 0.929
211 O 0.755 0.258 0.272
212 O 0.756 0.925 0.003
213 O 0.757 0.383 0.045
214 O 0.758 0.253 0.992
215 O 0.759 0.584 0.045
216 O 0.760 0.251 0.666
217 O 0.763 0.926 0.603
218 O 0.766 0.703 0.724
219 O 0.770 0.581 0.651
220 O 0.770 0.739 0.996
221 O 0.776 0.398 0.654
222 O 0.783 0.930 0.318
223 O 0.790 0.386 0.322
224 O 0.923 0.384 0.831
225 O 0.924 0.932 0.829
226 O 0.928 0.740 0.507
227 O 0.929 0.263 0.497
228 O 0.929 0.709 0.216
229 O 0.930 0.618 0.433
230 O 0.942 0.576 0.152
231 O 0.946 0.391 0.147
232 O 0.946 0.393 0.548
233 O 0.947 0.916 0.501
234 O 0.949 0.056 0.886
235 O 0.950 0.262 0.772
236 O 0.955 0.744 0.825
237 O 0.956 0.065 0.779
238 O 0.956 0.068 0.164
239 O 0.956 0.945 0.105
240 O 0.959 0.574 0.820
241 O 0.961 0.245 0.161
242 O 0.962 0.389 0.439
243 O 0.966 0.251 0.879
244 O 0.968 0.065 0.499
245 O 0.972 0.585 0.549
246 O 0.976 0.932 0.212

Results
Calculated density, g cm⁻³: 2.61
Corrected total energy (MP2020 scheme), eV per atom: -6.89
Space-group type: P1, No. 1
Raw total energy, eV per atom: -6.49
Formation enthalpy at 0 K, kJ/mol of formula units: -21199